1.
# Sm2MnNiO6

A relaxed Sm2MnNiO6 crystal (PBE with a Hubbard U, the Materials Project).

a = 5.3705 Å, b = 5.6332 Å, c = 7.6772 Å
α = 90.00°, β = 89.76°, γ = 90.00°
Positions (direct):
O  0.0965  0.4709  0.2589
O  0.9035  0.5291  0.7411
O  0.7089  0.3090  0.4520
O  0.2911  0.6910  0.5480
O  0.8122  0.7875  0.4478
O  0.7911  0.8090  0.0480
O  0.2089  0.1910  0.9520
O  0.6878  0.2875  0.0522
O  0.4035  0.9709  0.2411
O  0.3122  0.7125  0.9478
O  0.1878  0.2125  0.5522
O  0.5965  0.0291  0.7589
Mn  0.5000  0.0000  0.0000
Mn  0.0000  0.5000  0.5000
Ni  0.5000  0.0000  0.5000
Ni  0.0000  0.5000  0.0000
Sm  0.0164  0.9358  0.7509
Sm  0.4836  0.4358  0.7491
Sm  0.9836  0.0642  0.2491
Sm  0.5164  0.5642  0.2509

Calculated values
* SG: P2_1/c, No. 14

---

2.
# Mn3Ni3Te2O16

A relaxed Mn3Ni3Te2O16 crystal (PBE with a Hubbard U, the Materials Project).

a = 5.8819 Å, b = 5.8119 Å, c = 9.1907 Å
α = 90.00°, β = 91.70°, γ = 119.61°
Positions (direct):
Ni  0.6620  0.8310  0.2108
Ni  0.8325  0.1687  0.7102
Ni  0.8325  0.6638  0.7102
O  0.1787  0.8338  0.5962
O  0.5011  0.4691  0.8467
O  0.6754  0.8377  0.5920
O  0.4674  0.9617  0.3464
O  0.8354  0.1722  0.0952
O  0.9585  0.4793  0.8442
O  0.0399  0.5199  0.3366
O  0.3422  0.1711  0.1017
O  0.0085  0.0042  0.8027
O  0.0158  0.0079  0.3051
O  0.4674  0.5058  0.3464
O  0.1787  0.3449  0.5962
O  0.6573  0.3287  0.6141
O  0.8354  0.6632  0.0952
O  0.3139  0.6570  0.1078
O  0.5011  0.0321  0.8467
Mn  0.1717  0.8340  0.2113
Mn  0.3371  0.1685  0.7133
Mn  0.1717  0.3377  0.2113
Te  0.6728  0.3364  0.9849
Te  0.3430  0.6715  0.4902

Calculated values
* SG: Cm, No. 8

---

3.
# Ti2MnNiO6

A relaxed Ti2MnNiO6 crystal (PBE with a Hubbard U, the Materials Project).

a = 5.1334 Å, b = 5.1335 Å, c = 9.9153 Å
α = 90.00°, β = 105.00°, γ = 120.00°
Positions (direct):
O  0.0366  0.6931  0.1300
O  0.2297  0.9262  0.8663
O  0.7865  0.0934  0.1300
O  0.4369  0.8435  0.6300
O  0.4369  0.3435  0.1300
O  0.7866  0.5934  0.6300
O  0.0366  0.1932  0.6300
O  0.9401  0.8035  0.3663
O  0.9401  0.3035  0.8663
O  0.5628  0.6366  0.8663
O  0.2297  0.4262  0.3663
O  0.5628  0.1366  0.3663
Ni  0.6486  0.3243  0.9729
Ni  0.6486  0.8243  0.4728
Ti  0.8561  0.4281  0.2842
Ti  0.1456  0.0728  0.2184
Ti  0.8561  0.9281  0.7842
Ti  0.1456  0.5728  0.7184
Mn  0.3571  0.6786  0.0357
Mn  0.3572  0.1786  0.5357

---

4.
# Mn2V3NiO8

A relaxed Mn2V3NiO8 crystal (PBE with a Hubbard U, the Materials Project).

a = 6.0990 Å, b = 6.0821 Å, c = 10.4919 Å
α = 105.81°, β = 105.43°, γ = 60.85°
Positions (direct):
O  0.6613  0.1902  0.0751
O  0.4621  0.9364  0.2992
O  0.4085  0.9704  0.8020
O  0.6875  0.7035  0.0797
O  0.2164  0.6548  0.0730
O  0.9638  0.4348  0.7999
O  0.7101  0.7034  0.5782
O  0.2095  0.2045  0.0787
O  0.9374  0.9215  0.7953
O  0.1629  0.6886  0.5758
O  0.1868  0.2030  0.5795
O  0.9080  0.4731  0.3030
O  0.4156  0.4206  0.7962
O  0.4381  0.4219  0.2955
O  0.7171  0.1519  0.5721
O  0.9148  0.9215  0.2969
Ni  0.8125  0.8124  0.4375
Ni  0.3126  0.3127  0.9375
Mn  0.1176  0.1309  0.3713
Mn  0.6186  0.6300  0.8713
Mn  0.0065  0.9951  0.0037
Mn  0.5073  0.4940  0.5036
V  0.5623  0.0623  0.6875
V  0.0627  0.5627  0.1875
V  0.5622  0.5631  0.1873
V  0.0626  0.5624  0.6872
V  0.0628  0.0619  0.6877
V  0.5624  0.0625  0.1878

Calculated values
* SG: P-1, No. 2
* energy relative to the lowest polymorph listed for this composition: 0.0 kJ/mol of formula units

---

Table of formation enthalpy at 0 K (eV/atom), in record order: -2.81 -1.42 -2.77 -2.22